(1)
{"formula": "H16PdC4N10O2", "functional": "GGA-PBE", "state": "relaxed", "lattice_angstrom": [[7.298, 0.000, 0.000], [0.000, 7.303, 0.000], [0.000, 0.000, 22.838]], "species": ["H", "H", "H", "H", "H", "H", "H", "H", "H", "H", "H", "H", "H", "H", "H", "H", "H", "H", "H", "H", "H", "H", "H", "H", "H", "H", "H", "H", "H", "H", "H", "H", "H", "H", "H", "H", "H", "H", "H", "H", "H", "H", "H", "H", "H", "H", "H", "H", "H", "H", "H", "H", "H", "H", "H", "H", "H", "H", "H", "H", "H", "H", "H", "H", "Pd", "Pd", "Pd", "Pd", "C", "C", "C", "C", "C", "C", "C", "C", "C", "C", "C", "C", "C", "C", "C", "C", "N", "N", "N", "N", "N", "N", "N", "N", "N", "N", "N", "N", "N", "N", "N", "N", "N", "N", "N", "N", "N", "N", "N", "N", "N", "N", "N", "N", "N", "N", "N", "N", "N", "N", "N", "N", "N", "N", "N", "N", "O", "O", "O", "O", "O", "O", "O", "O"], "fractional_positions": [[0.087, 0.027, 0.139], [0.087, 0.473, 0.639], [0.104, 0.201, 0.704], [0.104, 0.299, 0.204], [0.126, 0.661, 0.503], [0.126, 0.839, 0.003], [0.131, 0.047, 0.284], [0.131, 0.453, 0.784], [0.144, 0.688, 0.912], [0.144, 0.812, 0.412], [0.153, 0.062, 0.067], [0.153, 0.438, 0.567], [0.198, 0.719, 0.191], [0.198, 0.781, 0.691], [0.206, 0.646, 0.819], [0.206, 0.854, 0.319], [0.294, 0.146, 0.819], [0.294, 0.354, 0.319], [0.302, 0.219, 0.191], [0.302, 0.281, 0.691], [0.347, 0.562, 0.067], [0.347, 0.938, 0.567], [0.356, 0.188, 0.912], [0.356, 0.312, 0.412], [0.369, 0.547, 0.284], [0.369, 0.953, 0.784], [0.374, 0.161, 0.503], [0.374, 0.339, 0.003], [0.396, 0.701, 0.704], [0.396, 0.799, 0.204], [0.413, 0.527, 0.139], [0.413, 0.973, 0.639], [0.587, 0.027, 0.361], [0.587, 0.473, 0.861], [0.604, 0.201, 0.796], [0.604, 0.299, 0.296], [0.626, 0.661, 0.997], [0.626, 0.839, 0.497], [0.631, 0.047, 0.216], [0.631, 0.453, 0.716], [0.644, 0.688, 0.588], [0.644, 0.812, 0.088], [0.653, 0.062, 0.433], [0.653, 0.438, 0.933], [0.698, 0.719, 0.309], [0.698, 0.781, 0.809], [0.706, 0.646, 0.681], [0.706, 0.854, 0.181], [0.794, 0.146, 0.681], [0.794, 0.354, 0.181], [0.802, 0.219, 0.309], [0.802, 0.281, 0.809], [0.847, 0.562, 0.433], [0.847, 0.938, 0.933], [0.856, 0.188, 0.588], [0.856, 0.312, 0.088], [0.869, 0.547, 0.216], [0.869, 0.953, 0.716], [0.874, 0.161, 0.997], [0.874, 0.339, 0.497], [0.896, 0.701, 0.796], [0.896, 0.799, 0.296], [0.913, 0.527, 0.361], [0.913, 0.973, 0.861], [0.000, 0.000, 0.500], [0.000, 0.500, 0.000], [0.500, 0.000, 0.000], [0.500, 0.500, 0.500], [0.047, 0.692, 0.585], [0.047, 0.808, 0.085], [0.071, 0.037, 0.371], [0.071, 0.463, 0.871], [0.429, 0.537, 0.371], [0.429, 0.963, 0.871], [0.453, 0.192, 0.585], [0.453, 0.308, 0.085], [0.547, 0.692, 0.915], [0.547, 0.808, 0.415], [0.571, 0.037, 0.129], [0.571, 0.463, 0.629], [0.929, 0.537, 0.129], [0.929, 0.963, 0.629], [0.953, 0.192, 0.915], [0.953, 0.308, 0.415], [0.010, 0.212, 0.367], [0.010, 0.288, 0.867], [0.073, 0.509, 0.596], [0.073, 0.991, 0.096], [0.079, 0.743, 0.032], [0.079, 0.757, 0.532], [0.092, 0.560, 0.920], [0.092, 0.940, 0.420], [0.111, 0.544, 0.818], [0.111, 0.956, 0.318], [0.389, 0.044, 0.818], [0.389, 0.456, 0.318], [0.408, 0.060, 0.920], [0.408, 0.440, 0.420], [0.421, 0.243, 0.032], [0.421, 0.257, 0.532], [0.427, 0.009, 0.596], [0.427, 0.491, 0.096], [0.490, 0.712, 0.367], [0.490, 0.788, 0.867], [0.510, 0.212, 0.133], [0.510, 0.288, 0.633], [0.573, 0.509, 0.904], [0.573, 0.991, 0.404], [0.579, 0.743, 0.468], [0.579, 0.757, 0.968], [0.592, 0.560, 0.580], [0.592, 0.940, 0.080], [0.611, 0.544, 0.682], [0.611, 0.956, 0.182], [0.889, 0.044, 0.682], [0.889, 0.456, 0.182], [0.908, 0.060, 0.580], [0.908, 0.440, 0.080], [0.921, 0.243, 0.468], [0.921, 0.257, 0.968], [0.927, 0.009, 0.904], [0.927, 0.491, 0.404], [0.990, 0.712, 0.133], [0.990, 0.788, 0.633], [0.185, 0.193, 0.211], [0.185, 0.307, 0.711], [0.315, 0.693, 0.211], [0.315, 0.807, 0.711], [0.685, 0.193, 0.289], [0.685, 0.307, 0.789], [0.815, 0.693, 0.289], [0.815, 0.807, 0.789]], "crystal_system": "orthorhombic"}



(2)
{"formula": "H12PtC6N6O8", "functional": "GGA-PBE", "state": "relaxed", "lattice_angstrom": [[3.622, 0.000, 0.000], [0.000, 14.949, 0.000], [-1.075, 0.000, 12.386]], "species": ["H", "H", "H", "H", "H", "H", "H", "H", "H", "H", "H", "H", "H", "H", "H", "H", "H", "H", "H", "H", "H", "H", "H", "H", "Pt", "Pt", "C", "C", "C", "C", "C", "C", "C", "C", "C", "C", "C", "C", "N", "N", "N", "N", "N", "N", "N", "N", "N", "N", "N", "N", "O", "O", "O", "O", "O", "O", "O", "O", "O", "O", "O", "O", "O", "O", "O", "O"], "fractional_positions": [[0.022, 0.181, 0.443], [0.022, 0.319, 0.943], [0.090, 0.669, 0.340], [0.090, 0.831, 0.840], [0.138, 0.718, 0.884], [0.138, 0.782, 0.384], [0.143, 0.063, 0.053], [0.143, 0.437, 0.553], [0.191, 0.236, 0.861], [0.191, 0.264, 0.361], [0.262, 0.090, 0.922], [0.262, 0.410, 0.422], [0.738, 0.590, 0.578], [0.738, 0.910, 0.078], [0.809, 0.736, 0.639], [0.809, 0.764, 0.139], [0.857, 0.563, 0.447], [0.857, 0.937, 0.947], [0.862, 0.218, 0.616], [0.862, 0.282, 0.116], [0.910, 0.169, 0.160], [0.910, 0.331, 0.660], [0.978, 0.681, 0.057], [0.978, 0.819, 0.557], [0.500, 0.000, 0.500], [0.500, 0.500, 0.000], [0.067, 0.194, 0.010], [0.067, 0.306, 0.510], [0.338, 0.515, 0.217], [0.338, 0.985, 0.717], [0.478, 0.081, 0.705], [0.478, 0.419, 0.205], [0.522, 0.581, 0.795], [0.522, 0.919, 0.295], [0.662, 0.015, 0.283], [0.662, 0.485, 0.783], [0.933, 0.694, 0.490], [0.933, 0.806, 0.990], [0.052, 0.718, 0.396], [0.052, 0.782, 0.896], [0.096, 0.245, 0.432], [0.096, 0.255, 0.932], [0.162, 0.108, 0.993], [0.162, 0.392, 0.493], [0.838, 0.608, 0.507], [0.838, 0.892, 0.007], [0.904, 0.745, 0.068], [0.904, 0.755, 0.568], [0.948, 0.218, 0.104], [0.948, 0.282, 0.604], [0.226, 0.541, 0.304], [0.226, 0.959, 0.804], [0.352, 0.566, 0.132], [0.352, 0.934, 0.632], [0.403, 0.599, 0.890], [0.403, 0.901, 0.390], [0.481, 0.136, 0.779], [0.481, 0.364, 0.279], [0.519, 0.636, 0.721], [0.519, 0.864, 0.221], [0.597, 0.099, 0.610], [0.597, 0.401, 0.110], [0.648, 0.066, 0.368], [0.648, 0.434, 0.868], [0.774, 0.041, 0.196], [0.774, 0.459, 0.696]], "crystal_system": "monoclinic"}



(3)
{"formula": "PuH16C3N4O11", "functional": "GGA-PBE", "state": "relaxed", "lattice_angstrom": [[5.623, -4.658, 0.000], [5.623, 4.658, 0.000], [-0.813, 0.000, 12.995]], "species": ["Pu", "Pu", "H", "H", "H", "H", "H", "H", "H", "H", "H", "H", "H", "H", "H", "H", "H", "H", "H", "H", "H", "H", "H", "H", "H", "H", "H", "H", "H", "H", "H", "H", "H", "H", "C", "C", "C", "C", "C", "C", "N", "N", "N", "N", "N", "N", "N", "N", "O", "O", "O", "O", "O", "O", "O", "O", "O", "O", "O", "O", "O", "O", "O", "O", "O", "O", "O", "O", "O", "O"], "fractional_positions": [[0.193, 0.807, 0.750], [0.807, 0.193, 0.250], [0.042, 0.474, 0.864], [0.063, 0.261, 0.915], [0.065, 0.275, 0.785], [0.084, 0.660, 0.462], [0.133, 0.649, 0.160], [0.200, 0.440, 0.486], [0.261, 0.063, 0.415], [0.275, 0.065, 0.285], [0.280, 0.561, 0.395], [0.296, 0.626, 0.522], [0.340, 0.916, 0.038], [0.351, 0.867, 0.340], [0.374, 0.704, 0.978], [0.439, 0.720, 0.105], [0.440, 0.200, 0.986], [0.474, 0.042, 0.364], [0.526, 0.958, 0.636], [0.560, 0.800, 0.014], [0.561, 0.280, 0.895], [0.626, 0.296, 0.022], [0.649, 0.133, 0.660], [0.660, 0.084, 0.962], [0.704, 0.374, 0.478], [0.720, 0.439, 0.605], [0.725, 0.935, 0.715], [0.739, 0.937, 0.585], [0.800, 0.560, 0.514], [0.867, 0.351, 0.840], [0.916, 0.340, 0.538], [0.935, 0.725, 0.215], [0.937, 0.739, 0.085], [0.958, 0.526, 0.136], [0.080, 0.159, 0.093], [0.159, 0.080, 0.593], [0.500, 0.500, 0.250], [0.500, 0.500, 0.750], [0.841, 0.920, 0.407], [0.920, 0.841, 0.907], [0.010, 0.341, 0.852], [0.216, 0.571, 0.465], [0.341, 0.010, 0.352], [0.429, 0.784, 0.035], [0.571, 0.216, 0.965], [0.659, 0.990, 0.648], [0.784, 0.429, 0.535], [0.990, 0.659, 0.148], [0.049, 0.098, 0.670], [0.052, 0.664, 0.677], [0.069, 0.710, 0.909], [0.098, 0.049, 0.170], [0.139, 0.200, 0.522], [0.200, 0.139, 0.022], [0.290, 0.931, 0.591], [0.336, 0.948, 0.823], [0.363, 0.637, 0.250], [0.389, 0.539, 0.827], [0.461, 0.611, 0.673], [0.539, 0.389, 0.327], [0.611, 0.461, 0.173], [0.637, 0.363, 0.750], [0.664, 0.052, 0.177], [0.710, 0.069, 0.409], [0.800, 0.861, 0.978], [0.861, 0.800, 0.478], [0.902, 0.951, 0.830], [0.931, 0.290, 0.091], [0.948, 0.336, 0.323], [0.951, 0.902, 0.330]], "crystal_system": "monoclinic"}



(4)
{"formula": "RbH3CN2O", "functional": "GGA-PBE", "state": "relaxed", "lattice_angstrom": [[7.359, 0.000, 0.000], [0.000, 7.630, 0.000], [0.000, 0.000, 14.280]], "species": ["Rb", "Rb", "Rb", "Rb", "Rb", "Rb", "Rb", "Rb", "H", "H", "H", "H", "H", "H", "H", "H", "H", "H", "H", "H", "H", "H", "H", "H", "H", "H", "H", "H", "H", "H", "H", "H", "C", "C", "C", "C", "C", "C", "C", "C", "N", "N", "N", "N", "N", "N", "N", "N", "N", "N", "N", "N", "N", "N", "N", "N", "O", "O", "O", "O", "O", "O", "O", "O"], "fractional_positions": [[0.105, 0.042, 0.189], [0.105, 0.458, 0.689], [0.395, 0.542, 0.189], [0.395, 0.958, 0.689], [0.605, 0.042, 0.311], [0.605, 0.458, 0.811], [0.895, 0.542, 0.311], [0.895, 0.958, 0.811], [0.111, 0.090, 0.538], [0.111, 0.410, 0.038], [0.171, 0.647, 0.880], [0.171, 0.853, 0.380], [0.215, 0.740, 0.523], [0.215, 0.760, 0.023], [0.285, 0.240, 0.523], [0.285, 0.260, 0.023], [0.329, 0.147, 0.880], [0.329, 0.353, 0.380], [0.389, 0.590, 0.538], [0.389, 0.910, 0.038], [0.611, 0.090, 0.962], [0.611, 0.410, 0.462], [0.671, 0.647, 0.620], [0.671, 0.853, 0.120], [0.715, 0.740, 0.977], [0.715, 0.760, 0.477], [0.785, 0.240, 0.977], [0.785, 0.260, 0.477], [0.829, 0.147, 0.620], [0.829, 0.353, 0.120], [0.889, 0.590, 0.962], [0.889, 0.910, 0.462], [0.119, 0.206, 0.407], [0.119, 0.294, 0.907], [0.381, 0.706, 0.407], [0.381, 0.794, 0.907], [0.619, 0.206, 0.093], [0.619, 0.294, 0.593], [0.881, 0.706, 0.093], [0.881, 0.794, 0.593], [0.160, 0.197, 0.502], [0.160, 0.303, 0.002], [0.220, 0.202, 0.847], [0.220, 0.298, 0.347], [0.280, 0.702, 0.847], [0.280, 0.798, 0.347], [0.340, 0.697, 0.502], [0.340, 0.803, 0.002], [0.660, 0.197, 0.998], [0.660, 0.303, 0.498], [0.720, 0.202, 0.653], [0.720, 0.298, 0.153], [0.780, 0.702, 0.653], [0.780, 0.798, 0.153], [0.840, 0.697, 0.998], [0.840, 0.803, 0.498], [0.028, 0.625, 0.119], [0.028, 0.875, 0.619], [0.472, 0.125, 0.119], [0.472, 0.375, 0.619], [0.528, 0.625, 0.381], [0.528, 0.875, 0.881], [0.972, 0.125, 0.381], [0.972, 0.375, 0.881]], "crystal_system": "orthorhombic"}



(5)
{"formula": "ReH12C4NO4", "functional": "GGA-PBE", "state": "relaxed", "lattice_angstrom": [[6.152, 0.000, 0.000], [0.000, 13.322, 0.000], [-0.018, 0.000, 12.676]], "species": ["Re", "Re", "Re", "Re", "H", "H", "H", "H", "H", "H", "H", "H", "H", "H", "H", "H", "H", "H", "H", "H", "H", "H", "H", "H", "H", "H", "H", "H", "H", "H", "H", "H", "H", "H", "H", "H", "H", "H", "H", "H", "H", "H", "H", "H", "H", "H", "H", "H", "H", "H", "H", "H", "C", "C", "C", "C", "C", "C", "C", "C", "C", "C", "C", "C", "C", "C", "C", "C", "N", "N", "N", "N", "O", "O", "O", "O", "O", "O", "O", "O", "O", "O", "O", "O", "O", "O", "O", "O"], "fractional_positions": [[0.054, 0.250, 0.016], [0.054, 0.750, 0.483], [0.946, 0.250, 0.517], [0.946, 0.750, 0.984], [0.235, 0.002, 0.131], [0.235, 0.498, 0.131], [0.235, 0.501, 0.369], [0.235, 0.999, 0.369], [0.236, 0.109, 0.285], [0.236, 0.391, 0.285], [0.236, 0.608, 0.214], [0.236, 0.892, 0.214], [0.281, 0.112, 0.752], [0.281, 0.388, 0.752], [0.282, 0.533, 0.863], [0.282, 0.967, 0.863], [0.283, 0.613, 0.748], [0.283, 0.887, 0.748], [0.284, 0.033, 0.636], [0.284, 0.467, 0.636], [0.443, 0.093, 0.384], [0.443, 0.407, 0.384], [0.443, 0.593, 0.116], [0.443, 0.907, 0.116], [0.489, 0.128, 0.653], [0.489, 0.372, 0.653], [0.489, 0.628, 0.848], [0.489, 0.872, 0.848], [0.511, 0.128, 0.152], [0.511, 0.372, 0.152], [0.511, 0.628, 0.347], [0.511, 0.872, 0.347], [0.557, 0.093, 0.884], [0.557, 0.407, 0.884], [0.557, 0.593, 0.616], [0.557, 0.907, 0.616], [0.716, 0.533, 0.364], [0.716, 0.967, 0.364], [0.717, 0.113, 0.252], [0.717, 0.387, 0.252], [0.718, 0.033, 0.137], [0.718, 0.467, 0.137], [0.719, 0.612, 0.248], [0.719, 0.888, 0.248], [0.764, 0.108, 0.786], [0.764, 0.392, 0.786], [0.764, 0.609, 0.715], [0.764, 0.891, 0.715], [0.765, 0.001, 0.631], [0.765, 0.499, 0.631], [0.765, 0.502, 0.869], [0.765, 0.998, 0.869], [0.336, 0.054, 0.328], [0.336, 0.446, 0.328], [0.336, 0.554, 0.172], [0.336, 0.946, 0.172], [0.383, 0.074, 0.693], [0.383, 0.426, 0.693], [0.383, 0.575, 0.807], [0.383, 0.925, 0.807], [0.617, 0.075, 0.193], [0.617, 0.425, 0.193], [0.617, 0.574, 0.307], [0.617, 0.926, 0.307], [0.664, 0.054, 0.828], [0.664, 0.446, 0.828], [0.664, 0.554, 0.672], [0.664, 0.946, 0.672], [0.476, 0.000, 0.250], [0.476, 0.500, 0.250], [0.524, 0.000, 0.750], [0.524, 0.500, 0.750], [0.123, 0.250, 0.151], [0.126, 0.750, 0.349], [0.159, 0.642, 0.544], [0.159, 0.858, 0.544], [0.161, 0.142, 0.956], [0.161, 0.358, 0.956], [0.229, 0.750, 0.996], [0.230, 0.250, 0.507], [0.770, 0.750, 0.493], [0.771, 0.250, 0.004], [0.839, 0.642, 0.044], [0.839, 0.858, 0.044], [0.841, 0.142, 0.456], [0.841, 0.358, 0.456], [0.874, 0.250, 0.651], [0.877, 0.750, 0.849]], "crystal_system": "monoclinic"}



One value per record, in order, for DFT formation energy: -370 -780 -1259 -731 -649 meV per atom.